1.
## LiFeBr4 (PBE)

Data for a relaxed LiFeBr4 crystal.

```
24
Lattice="7.3290 0.0000 0.0000 0.0000 7.5336 0.0000 0.0000 0.5895 13.8332" Properties=species:S:1:pos:R:3 pbc="T T T"
Li 3.5217 6.8998 12.0516
Li 3.8072 1.2232 1.7816
Li 7.1862 1.5180 8.6982
Li 0.1428 6.6051 5.1350
Fe 1.2748 5.6918 8.3059
Fe 6.0542 2.4313 5.5273
Fe 4.9393 2.7260 12.4439
Fe 2.3897 5.3971 1.3893
Br 1.2928 3.6779 9.4741
Br 6.0361 4.4452 4.3591
Br 4.9573 4.7399 11.2757
Br 2.3717 3.3832 2.5575
Br 2.3317 7.4277 9.5508
Br 4.9973 0.6954 4.2824
Br 5.9962 0.9901 11.1990
Br 1.3328 7.1330 2.6342
Br 1.3672 5.7896 13.1282
Br 5.9617 2.3335 0.7050
Br 5.0317 2.6282 7.6215
Br 2.2973 5.4949 6.2116
Br 6.3930 6.4763 7.8855
Br 0.9359 1.6468 5.9476
Br 2.7286 1.9415 12.8642
Br 4.6004 6.1816 0.9689
```

Calculated values
The total energy comes out at -88.1 eV per cell. The formation energy is -1205.6 meV per atom. The value obtained for the energy with MP2020 corrections is -4.027 eV/atom. As for the space-group type: P2_1/c, No. 14.

2.
## KPdO3 (PBE)

Data for a relaxed KPdO3 crystal.

```
5
Lattice="-2.4321 0.2453 -3.2543 0.0947 -4.0515 -0.3762 -3.2622 -0.3005 2.4153" Properties=species:S:1:pos:R:3 pbc="T T T"
K 0.0000 0.0000 0.0000
Pd -2.7997 -2.0534 -0.6076
O -1.1687 -1.9031 -1.8152
O -2.8471 -0.0276 -0.4195
O -1.5837 -2.1760 1.0195
```

Calculated values
The total energy comes out at -23.2 eV per cell. The formation energy is -829.7 meV per atom. The value obtained for the energy with MP2020 corrections is -5.056 eV/atom. The total magnetization is 2.01 μB per cell. As for the space-group type: Pm-3m, No. 221.